Computed, not measured: a relaxed Ca4Nb2O9 crystal at the GGA-PBE level of DFT.

Lattice parameters (Å, degrees): 8.0969 9.8657 11.4255 107.32 88.56 112.85
Last column: nearest neighbours and their distance in Å.
Element x y z (fractional)
1 Ca 0.1629 0.8290 0.8322  6 O 2.27-2.33
2 Ca 0.2991 0.5234 0.7610  5 O 2.34-2.52
3 Ca 0.7801 0.5347 0.7839  5 O 2.27-2.46
4 Ca 0.5039 0.5063 0.5010  6 O 2.27-2.33
5 Ca 0.5354 0.1279 0.9024  5 O 2.33-2.54
6 Ca 0.0557 0.1516 0.9025  4 O 2.28-2.48
7 Ca 0.8312 0.1671 0.6686  6 O 2.29-2.37
8 Ca 0.6058 0.1780 0.4332  3 O 2.23-2.43
9 Ca 0.1304 0.2009 0.4445  5 O 2.35-2.60
10 Ca 0.8334 0.1645 0.1680  6 O 2.28-2.37
11 Ca 0.8907 0.8037 0.5524  5 O 2.27-2.48
12 Ca 0.3649 0.8152 0.5738  5 O 2.36-2.47
13 Ca 0.9574 0.8418 0.0936  5 O 2.27-2.51
14 Ca 0.4523 0.8597 0.0969  4 O 2.31-2.48
15 Ca 0.2087 0.4660 0.2349  4 O 2.27-2.51
16 Ca 0.7029 0.4786 0.2408  3 O 2.26-2.52
17 Nb 0.0038 0.4835 0.9985  4 O 1.92-1.97
18 Nb 0.6793 0.8372 0.8245  5 O 1.91-2.01
19 Nb 0.3478 0.1836 0.6771  5 O 1.97-2.00
20 Nb 0.9865 0.4944 0.5093  5 O 1.91-2.01
21 Nb 0.6660 0.8532 0.3376  4 O 1.90-1.97
22 Nb 0.1521 0.8246 0.3302  4 O 1.92-2.05
23 Nb 0.3275 0.1625 0.1708  5 O 1.98-2.01
24 Nb 0.5123 0.5083 0.0129  4 O 1.93-2.03
25 O 0.2146 0.4309 0.9946  1 Nb 1.96
26 O 0.5091 0.6666 0.9441  1 Nb 1.96
27 O 0.8857 0.8130 0.8940  1 Nb 1.99
28 O 0.6142 0.6302 0.7017  1 Nb 1.98
29 O 0.4877 0.3674 0.8170  1 Nb 1.97
30 O 0.2475 0.0598 0.7899  1 Nb 1.98
31 O 0.0776 0.5969 0.8773  1 Nb 1.97
32 O 0.8490 0.2933 0.8801  1 Nb 1.92
33 O 0.6917 0.0086 0.9733  1 Nb 1.98
34 O 0.5255 0.0877 0.6401  1 Nb 1.98
35 O 0.4361 0.8246 0.7756  1 Nb 2.01
36 O 0.8420 0.3718 0.6044  1 Nb 1.91
37 O 0.8245 0.9623 0.7308  1 Nb 1.91
38 O 0.2313 0.5100 0.5588  1 Nb 2.01
39 O 0.1372 0.2402 0.6799  1 Nb 1.99
40 O 0.9790 0.3234 0.3622  1 Nb 1.98
41 O 0.8168 0.0422 0.4550  1 Nb 1.90
42 O 0.5892 0.7379 0.4560  1 Nb 1.96
43 O 0.4188 0.2734 0.5391  1 Nb 2.00, 1 Ca 2.23
44 O 0.1803 0.9620 0.5014  1 Nb 1.98
45 O 0.0556 0.7046 0.6307  1 Nb 1.99
46 O 0.8907 0.7685 0.3148  1 Nb 1.97
47 O 0.7834 0.5220 0.4410  1 Nb 1.98
48 O 0.1920 0.0237 0.2697  2 Nb 2.01-2.18
49 O 0.1558 0.6606 0.3856  1 Nb 1.92
50 O 0.5668 0.1758 0.2280  1 Nb 2.00
51 O 0.4516 0.9000 0.3347  1 Nb 1.97
52 O 0.3066 0.9834 0.0249  1 Nb 1.99
53 O 0.1471 0.7142 0.1467  2 Nb 2.05-2.27
54 O 0.9204 0.4106 0.1398  1 Nb 1.96
55 O 0.7446 0.9185 0.1923  1 Nb 1.96
56 O 0.5152 0.6187 0.1839  1 Nb 1.93
57 O 0.3747 0.3595 0.3038  1 Nb 1.98
58 O 0.1043 0.1661 0.1057  1 Nb 1.99
59 O 0.4717 0.3135 0.0571  2 Nb 2.03-2.24
60 O 0.7715 0.5623 0.0157  1 Nb 1.95

Results
**Uncorrected energy**: -7.753 eV per atom
**Space group**: P1, No. 1
**Energy relative to the elements**: -3314.4 meV per atom

---

Computed, not measured: a relaxed Ca2Nb2O7 crystal at the GGA-PBE level of DFT.

Lattice parameters (Å, degrees): 7.4836 7.4836 7.4836 60.00 60.00 60.00
Last column: nearest neighbours and their distance in Å.
Element x y z (fractional)
1 Ca 0.1250 0.6250 0.1250  2 O 2.29
2 Ca 0.1250 0.1250 0.6250  2 O 2.29
3 Ca 0.6250 0.1250 0.1250  2 O 2.29
4 Ca 0.1250 0.1250 0.1250  2 O 2.29
5 Nb 0.6250 0.1250 0.6250  6 O 2.00
6 Nb 0.6250 0.6250 0.1250  6 O 2.00
7 Nb 0.1250 0.6250 0.6250  6 O 2.00
8 Nb 0.6250 0.6250 0.6250  6 O 2.00
9 O 0.0000 0.0000 0.0000  4 Ca 2.29
10 O 0.2500 0.2500 0.2500  4 Ca 2.29
11 O 0.3074 0.3074 0.6926  2 Nb 2.00
12 O 0.5574 0.5574 0.9426  2 Nb 2.00
13 O 0.6926 0.3074 0.6926  2 Nb 2.00
14 O 0.6926 0.3074 0.3074  2 Nb 2.00
15 O 0.3074 0.6926 0.6926  2 Nb 2.00
16 O 0.3074 0.6926 0.3074  2 Nb 2.00
17 O 0.6926 0.6926 0.3074  2 Nb 2.00
18 O 0.9426 0.5574 0.5574  2 Nb 2.00
19 O 0.5574 0.9426 0.9426  2 Nb 2.00
20 O 0.9426 0.9426 0.5574  2 Nb 2.00
21 O 0.9426 0.5574 0.9426  2 Nb 2.00
22 O 0.5574 0.9426 0.5574  2 Nb 2.00

Results
**Uncorrected energy**: -8.169 eV per atom
**Space group**: Fd-3m, No. 227
**Energy relative to the elements**: -3256.1 meV per atom

---

Computed, not measured: a relaxed Ca4Nb2O9 crystal at the GGA-PBE level of DFT.

Lattice parameters (Å, degrees): 8.1372 9.8455 11.4119 107.59 88.55 113.04
Last column: nearest neighbours and their distance in Å.
Element x y z (fractional)
1 Ca 0.3353 0.6681 0.1654  6 O 2.28-2.35
2 Ca 0.4563 0.3716 0.1020  5 O 2.32-2.51
3 Ca 0.6937 0.9871 0.2438  5 O 2.29-2.49
4 Ca 0.6647 0.3319 0.8346  6 O 2.28-2.35
5 Ca 0.9637 0.3647 0.0878  4 O 2.30-2.51
6 Ca 0.7690 0.0112 0.7693  5 O 2.33-2.49
7 Ca 0.0000 0.0000 0.0000  6 O 2.30-2.36
8 Ca 0.2310 0.9888 0.2307  5 O 2.33-2.49
9 Ca 0.0363 0.6353 0.9122  4 O 2.30-2.51
10 Ca 0.0000 0.0000 0.5000  6 O 2.28-2.33
11 Ca 0.3063 0.0129 0.7562  5 O 2.29-2.49
12 Ca 0.1170 0.6888 0.4364  4 O 2.28-2.51
13 Ca 0.5437 0.6284 0.8980  5 O 2.32-2.51
14 Ca 0.3709 0.3103 0.5690  5 O 2.29-2.55
15 Ca 0.6291 0.6897 0.4310  5 O 2.29-2.55
16 Ca 0.8830 0.3112 0.5636  4 O 2.28-2.51
17 Nb 0.6599 0.3418 0.3355  5 O 1.91-2.12
18 Nb 0.8373 0.6858 0.1734  5 O 1.91-2.03
19 Nb 0.1470 0.3245 0.3264  4 O 1.90-1.97
20 Nb 0.1627 0.3142 0.8266  5 O 1.91-2.03
21 Nb 0.5000 0.0000 0.0000  6 O 1.99-2.13
22 Nb 0.3401 0.6582 0.6645  5 O 1.91-2.12
23 Nb 0.5000 0.0000 0.5000  6 O 1.98-2.11
24 Nb 0.8530 0.6755 0.6736  4 O 1.90-1.97
25 O 0.5925 0.6494 0.2229  1 Nb 1.98
26 O 0.7547 0.4340 0.2087  1 Nb 1.92
27 O 0.3826 0.8869 0.3270  1 Nb 2.00
28 O 0.5290 0.1303 0.1904  2 Nb 2.12-2.13
29 O 0.8882 0.2608 0.3270  1 Nb 1.95
30 O 0.1875 0.5133 0.2858  1 Nb 1.95
31 O 0.5106 0.8284 0.0537  1 Nb 1.99
32 O 0.7679 0.0866 0.9981  1 Nb 2.01
33 O 0.9466 0.3520 0.8832  1 Nb 1.99
34 O 0.1656 0.2202 0.1597  1 Nb 1.90
35 O 0.2812 0.4485 0.0000  1 Nb 2.03
36 O 0.9085 0.8879 0.1566  1 Nb 1.91
37 O 0.0915 0.1121 0.8434  1 Nb 1.91
38 O 0.7188 0.5515 0.0000  1 Nb 2.03
39 O 0.8344 0.7798 0.8403  1 Nb 1.90
40 O 0.0534 0.6480 0.1168  1 Nb 1.99
41 O 0.2321 0.9134 0.0019  1 Nb 2.01
42 O 0.4894 0.1716 0.9463  1 Nb 1.99
43 O 0.8125 0.4867 0.7142  1 Nb 1.95
44 O 0.1118 0.7392 0.6730  1 Nb 1.95
45 O 0.2730 0.0121 0.5573  1 Nb 1.98
46 O 0.4710 0.8697 0.8096  2 Nb 2.12-2.13
47 O 0.6174 0.1131 0.6730  1 Nb 2.00
48 O 0.2453 0.5660 0.7913  1 Nb 1.92
49 O 0.4211 0.7895 0.5414  2 Nb 2.11
50 O 0.0653 0.2346 0.6516  1 Nb 1.97
51 O 0.1889 0.4768 0.5223  2 Nb 1.99-2.23
52 O 0.4075 0.3506 0.7771  1 Nb 1.98
53 O 0.5390 0.5988 0.6478  1 Nb 1.91
54 O 0.8351 0.8332 0.6084  1 Nb 1.97
55 O 0.1649 0.1668 0.3916  1 Nb 1.97
56 O 0.4610 0.4012 0.3522  1 Nb 1.91
57 O 0.8111 0.5232 0.4777  2 Nb 1.99-2.23
58 O 0.9347 0.7654 0.3484  1 Nb 1.97
59 O 0.5789 0.2105 0.4586  2 Nb 2.11
60 O 0.7270 0.9879 0.4427  1 Nb 1.98

Results
**Uncorrected energy**: -7.753 eV per atom
**Space group**: P-1, No. 2
**Energy relative to the elements**: -3315.0 meV per atom

---

Computed, not measured: a relaxed CaNb2O6 crystal at the GGA-PBE level of DFT.

Lattice parameters (Å, degrees): 5.2743 5.9434 15.1802 90.00 90.00 90.00
Last column: nearest neighbours and their distance in Å.
Element x y z (fractional)
1 Ca 0.2500 0.7859 0.0000  6 O 2.36-2.44
2 Ca 0.7500 0.7141 0.5000  6 O 2.36-2.44
3 Ca 0.7500 0.2141 0.0000  6 O 2.36-2.44
4 Ca 0.2500 0.2859 0.5000  6 O 2.36-2.44
5 Nb 0.2902 0.8152 0.6653  3 O 1.82-1.96
6 Nb 0.7902 0.6848 0.8347  3 O 1.82-1.96
7 Nb 0.2098 0.8152 0.3347  3 O 1.82-1.96
8 Nb 0.7098 0.6848 0.1653  3 O 1.82-1.96
9 Nb 0.2902 0.3152 0.8347  3 O 1.82-1.96
10 Nb 0.7902 0.1848 0.6653  3 O 1.82-1.96
11 Nb 0.2098 0.3152 0.1653  3 O 1.82-1.96
12 Nb 0.7098 0.1848 0.3347  3 O 1.82-1.96
13 O 0.8856 0.3591 0.2436  2 Nb 1.96-2.10
14 O 0.3856 0.1409 0.2564  2 Nb 1.96-2.10
15 O 0.6144 0.3591 0.7564  2 Nb 1.96-2.10
16 O 0.1144 0.1409 0.7436  2 Nb 1.96-2.10
17 O 0.1144 0.6409 0.7564  2 Nb 1.96-2.10
18 O 0.6144 0.8591 0.7436  2 Nb 1.96-2.10
19 O 0.3856 0.6409 0.2436  2 Nb 1.96-2.10
20 O 0.8856 0.8591 0.2564  2 Nb 1.96-2.10
21 O 0.0067 0.0747 0.3986  2 Nb 1.95-2.11
22 O 0.5067 0.4253 0.1014  2 Nb 1.95-2.11
23 O 0.4933 0.0747 0.6014  2 Nb 1.95-2.11
24 O 0.9933 0.4253 0.8986  2 Nb 1.95-2.11
25 O 0.6008 0.8949 0.0871  1 Nb 1.82
26 O 0.1008 0.6051 0.4129  1 Nb 1.82
27 O 0.8992 0.8949 0.9129  1 Nb 1.82
28 O 0.3992 0.6051 0.5871  1 Nb 1.82
29 O 0.3992 0.1051 0.9129  1 Nb 1.82
30 O 0.8992 0.3949 0.5871  1 Nb 1.82
31 O 0.1008 0.1051 0.0871  1 Nb 1.82
32 O 0.6008 0.3949 0.4129  1 Nb 1.82
33 O 0.0067 0.5747 0.1014  2 Nb 1.95-2.11
34 O 0.5067 0.9253 0.3986  2 Nb 1.95-2.11
35 O 0.4933 0.5747 0.8986  2 Nb 1.95-2.11
36 O 0.9933 0.9253 0.6014  2 Nb 1.95-2.11

Results
**Uncorrected energy**: -8.546 eV per atom
**Space group**: Pbcn, No. 60
**Energy relative to the elements**: -3237.5 meV per atom

---

> What is the uncorrected energy in the first record?

-7.753 eV per atom

---

> energy relative to the elements of number 4 (CaNb2O6)?

-3237.5 meV per atom

---

> What is the energy relative to the elements in the fourth record?

-3237.5 meV per atom

---

> Which formula does entry 2 have?

Ca2Nb2O7